No. 1
# SiBr2

A relaxed structure of SiBr2 (PBE, Materials Project).

Geometry as POSCAR:
```
SiBr2
1.0
5.193 9.442 0.000
-5.193 9.442 0.000
0.000 5.047 13.862
Si Br
12 24
direct
0.757 0.553 0.078
0.447 0.243 0.422
0.243 0.447 0.922
0.553 0.757 0.578
0.822 0.744 0.004
0.256 0.178 0.496
0.178 0.256 0.996
0.744 0.822 0.504
0.922 0.332 0.009
0.668 0.078 0.491
0.078 0.668 0.991
0.332 0.922 0.509
0.769 0.503 0.234
0.497 0.231 0.266
0.231 0.497 0.766
0.503 0.769 0.734
0.679 0.930 0.089
0.070 0.321 0.411
0.321 0.070 0.911
0.930 0.679 0.589
0.777 0.822 0.853
0.178 0.223 0.647
0.223 0.178 0.147
0.822 0.777 0.353
0.871 0.380 0.862
0.620 0.129 0.638
0.129 0.620 0.138
0.380 0.871 0.362
0.885 0.144 0.100
0.856 0.115 0.400
0.115 0.856 0.900
0.144 0.885 0.600
0.523 0.635 0.063
0.365 0.477 0.437
0.477 0.365 0.937
0.635 0.523 0.563
```

Results
E_form ... -1.017 eV/atom
Space-group type ... C2/c, No. 15
E_tot ... -128.18 eV/cell


No. 2
# SiBr2

A relaxed structure of SiBr2 (PBE, Materials Project).

Geometry as POSCAR:
```
SiBr2
1.0
-3.848 7.733 -13.439
-8.823 -6.555 -1.245
-14.159 4.242 6.495
Si Br
20 40
direct
0.831 0.947 0.960
0.180 0.053 0.536
0.373 0.292 0.478
0.320 0.053 0.036
0.680 0.947 0.964
0.331 0.053 0.540
0.753 0.573 0.573
0.253 0.427 0.927
0.820 0.947 0.464
0.139 0.270 0.520
0.873 0.708 0.022
0.127 0.292 0.978
0.669 0.947 0.460
0.627 0.708 0.522
0.747 0.573 0.073
0.169 0.053 0.040
0.861 0.730 0.480
0.361 0.270 0.020
0.247 0.427 0.427
0.639 0.730 0.980
0.646 0.753 0.834
0.380 0.967 0.451
0.776 0.511 0.725
0.930 0.686 0.904
0.538 0.635 0.644
0.570 0.686 0.404
0.012 0.339 0.457
0.724 0.511 0.225
0.375 0.923 0.690
0.224 0.489 0.275
0.141 0.050 0.405
0.746 0.385 0.555
0.488 0.339 0.957
0.988 0.661 0.543
0.126 0.873 0.666
0.859 0.950 0.595
0.854 0.753 0.334
0.875 0.077 0.810
0.146 0.247 0.666
0.120 0.967 0.951
0.754 0.385 0.055
0.125 0.923 0.190
0.038 0.365 0.856
0.962 0.635 0.144
0.276 0.489 0.775
0.246 0.615 0.945
0.641 0.950 0.095
0.880 0.033 0.049
0.626 0.127 0.834
0.874 0.127 0.334
0.620 0.033 0.549
0.354 0.247 0.166
0.070 0.314 0.096
0.512 0.661 0.043
0.430 0.314 0.596
0.625 0.077 0.310
0.254 0.615 0.445
0.462 0.365 0.356
0.374 0.873 0.166
0.359 0.050 0.905
```

Results
Total magnetic moment ... 0.1 μB per cell
E_form ... -1.012 eV/atom
Space-group type ... P2_1/c, No. 14
E_tot ... -213.32 eV/cell


No. 3
# Tb4SiBr6

A relaxed structure of Tb4SiBr6 (PBE, Materials Project).

Geometry as POSCAR:
```
Tb4SiBr6
1.0
4.079 0.000 0.000
0.000 13.313 0.000
0.000 0.000 14.083
Tb Si Br
8 2 12
direct
0.500 0.118 0.341
0.500 0.882 0.659
0.500 0.618 0.159
0.500 0.382 0.841
0.000 0.118 0.578
0.000 0.882 0.422
0.000 0.618 0.922
0.000 0.382 0.078
0.500 0.000 0.500
0.500 0.500 0.000
0.500 0.244 0.162
0.500 0.756 0.838
0.500 0.744 0.338
0.500 0.256 0.662
0.000 0.255 0.411
0.000 0.745 0.589
0.000 0.755 0.089
0.000 0.245 0.911
0.000 0.002 0.243
0.000 0.998 0.757
0.000 0.502 0.257
0.000 0.498 0.743
```

Results
E_form ... -1.904 eV/atom
Space-group type ... Pbam, No. 55
E_tot ... -103.05 eV/cell


No. 4
# Sm11Br24

A relaxed structure of Sm11Br24 (PBE, Materials Project).

Geometry as POSCAR:
```
Sm11Br24
1.0
0.012 0.000 7.210
7.480 0.000 -0.013
0.000 79.070 0.000
Sm Br
44 96
direct
0.458 0.126 0.973
0.958 0.626 0.527
0.542 0.874 0.027
0.042 0.374 0.473
0.463 0.806 0.933
0.963 0.306 0.567
0.537 0.194 0.067
0.037 0.694 0.433
0.492 0.177 0.886
0.992 0.677 0.614
0.508 0.823 0.114
0.008 0.323 0.386
0.042 0.627 0.973
0.542 0.127 0.527
0.958 0.373 0.027
0.458 0.873 0.473
0.037 0.306 0.933
0.537 0.806 0.567
0.963 0.694 0.067
0.463 0.194 0.433
0.008 0.676 0.886
0.508 0.176 0.614
0.992 0.324 0.114
0.492 0.824 0.386
0.466 0.112 0.798
0.966 0.612 0.702
0.534 0.888 0.202
0.034 0.388 0.298
0.474 0.780 0.843
0.974 0.280 0.657
0.526 0.220 0.157
0.026 0.720 0.343
0.033 0.611 0.798
0.533 0.111 0.702
0.967 0.389 0.202
0.467 0.889 0.298
0.026 0.279 0.843
0.526 0.779 0.657
0.974 0.721 0.157
0.474 0.221 0.343
0.000 0.372 0.750
0.500 0.872 0.750
0.000 0.628 0.250
0.500 0.128 0.250
0.278 0.873 0.996
0.778 0.373 0.504
0.722 0.127 0.004
0.222 0.627 0.496
0.692 0.825 0.963
0.192 0.325 0.537
0.308 0.175 0.037
0.808 0.675 0.463
0.147 0.965 0.953
0.647 0.465 0.547
0.853 0.035 0.047
0.353 0.535 0.453
0.667 0.127 0.921
0.167 0.627 0.579
0.333 0.873 0.079
0.833 0.373 0.421
0.195 0.983 0.909
0.695 0.483 0.591
0.805 0.017 0.091
0.305 0.517 0.409
0.617 0.807 0.885
0.117 0.307 0.615
0.383 0.193 0.115
0.883 0.693 0.385
0.223 0.373 0.996
0.723 0.873 0.504
0.777 0.627 0.004
0.277 0.127 0.496
0.808 0.325 0.963
0.308 0.825 0.537
0.192 0.675 0.037
0.692 0.175 0.463
0.353 0.464 0.953
0.853 0.964 0.547
0.647 0.536 0.047
0.147 0.036 0.453
0.832 0.627 0.921
0.332 0.127 0.579
0.168 0.373 0.079
0.668 0.873 0.421
0.305 0.483 0.909
0.805 0.983 0.591
0.695 0.517 0.091
0.195 0.017 0.409
0.883 0.307 0.885
0.383 0.807 0.615
0.117 0.693 0.115
0.617 0.193 0.385
0.216 0.893 0.777
0.716 0.393 0.723
0.784 0.107 0.223
0.284 0.607 0.277
0.677 0.805 0.810
0.177 0.305 0.690
0.323 0.195 0.190
0.823 0.695 0.310
0.170 0.946 0.821
0.670 0.446 0.679
0.830 0.054 0.179
0.330 0.554 0.321
0.645 0.131 0.850
0.145 0.631 0.650
0.355 0.869 0.150
0.855 0.369 0.350
0.193 0.979 0.865
0.693 0.479 0.635
0.807 0.021 0.135
0.307 0.521 0.365
0.728 0.134 0.768
0.228 0.634 0.732
0.272 0.866 0.232
0.772 0.366 0.268
0.285 0.392 0.777
0.785 0.892 0.723
0.715 0.608 0.223
0.215 0.108 0.277
0.823 0.305 0.810
0.323 0.805 0.690
0.177 0.695 0.190
0.677 0.195 0.310
0.329 0.446 0.821
0.829 0.946 0.679
0.671 0.554 0.179
0.171 0.054 0.321
0.856 0.631 0.850
0.356 0.131 0.650
0.144 0.369 0.150
0.644 0.869 0.350
0.307 0.479 0.865
0.807 0.979 0.635
0.693 0.521 0.135
0.193 0.021 0.365
0.771 0.634 0.768
0.271 0.134 0.732
0.229 0.366 0.232
0.729 0.866 0.268
```

Results
Total magnetic moment ... 35.9 μB per cell
E_form ... -1.928 eV/atom
Space-group type ... P2_1/c, No. 14
E_tot ... -583.42 eV/cell


No. 5
# SmBr2

A relaxed structure of SmBr2 (PBE, Materials Project).

Geometry as POSCAR:
```
SmBr2
1.0
-0.945 0.952 3.737
0.767 -6.764 1.917
14.642 2.527 3.060
Sm Br
4 8
direct
0.250 0.789 0.001
0.750 0.211 0.999
0.750 0.711 0.501
0.250 0.289 0.499
0.250 0.592 0.636
0.750 0.408 0.364
0.750 0.908 0.136
0.250 0.092 0.864
0.250 0.424 0.107
0.750 0.576 0.893
0.750 0.076 0.607
0.250 0.924 0.393
```

Results
Total magnetic moment ... 3.8 μB per cell
E_form ... -2.021 eV/atom
Space-group type ... Pnma, No. 62
E_tot ... -51.95 eV/cell


No. 6
# Sm6Br13

A relaxed structure of Sm6Br13 (PBE, Materials Project).

Geometry as POSCAR:
```
Sm6Br13
1.0
19.638 -1.182 9.445
19.854 5.739 7.010
-1.957 2.400 6.647
Sm Br
12 26
direct
0.585 0.156 0.045
0.496 0.904 0.176
0.699 0.222 0.585
0.222 0.699 0.085
0.156 0.585 0.545
0.778 0.301 0.915
0.415 0.844 0.955
0.504 0.096 0.824
0.096 0.504 0.324
0.904 0.496 0.676
0.844 0.415 0.455
0.301 0.778 0.415
0.463 0.375 0.319
0.291 0.224 0.119
0.776 0.709 0.381
0.552 0.448 0.250
0.178 0.025 0.290
0.135 0.229 0.402
0.902 0.160 0.544
0.025 0.178 0.790
0.773 0.551 0.071
0.865 0.771 0.598
0.448 0.552 0.750
0.449 0.227 0.429
0.840 0.098 0.956
0.537 0.625 0.681
0.227 0.449 0.929
0.625 0.537 0.181
0.229 0.135 0.902
0.709 0.776 0.881
0.975 0.822 0.210
0.551 0.773 0.571
0.098 0.840 0.456
0.771 0.865 0.098
0.160 0.902 0.044
0.822 0.975 0.710
0.224 0.291 0.619
0.375 0.463 0.819
```

Results
Total magnetic moment ... 5.9 μB per cell
E_form ... -1.917 eV/atom
Space-group type ... C2/c, No. 15
E_tot ... -158.15 eV/cell


No. 7
# Sm5Br11

A relaxed structure of Sm5Br11 (PBE, Materials Project).

Geometry as POSCAR:
```
Sm5Br11
1.0
-4.992 -4.680 1.651
0.522 -3.000 -6.877
25.341 -22.838 11.884
Sm Br
20 44
direct
0.468 0.848 0.444
0.021 0.721 0.154
0.979 0.279 0.654
0.532 0.152 0.556
0.016 0.331 0.250
0.984 0.669 0.750
0.534 0.773 0.654
0.468 0.848 0.056
0.534 0.773 0.846
0.520 0.160 0.750
0.029 0.346 0.056
0.480 0.840 0.250
0.466 0.227 0.154
0.532 0.152 0.944
0.029 0.346 0.444
0.466 0.227 0.346
0.971 0.654 0.944
0.971 0.654 0.556
0.021 0.721 0.346
0.979 0.279 0.846
0.327 0.834 0.584
0.183 0.338 0.583
0.816 0.973 0.798
0.683 0.463 0.604
0.184 0.027 0.202
0.817 0.662 0.083
0.683 0.463 0.896
0.263 0.109 0.492
0.854 0.371 0.171
0.146 0.629 0.829
0.817 0.662 0.417
0.184 0.027 0.298
0.824 0.967 0.604
0.869 0.691 0.250
0.131 0.309 0.750
0.234 0.608 0.492
0.356 0.119 0.829
0.737 0.891 0.992
0.693 0.468 0.702
0.766 0.392 0.992
0.854 0.371 0.329
0.673 0.166 0.416
0.356 0.119 0.671
0.307 0.532 0.202
0.766 0.392 0.508
0.693 0.468 0.798
0.737 0.891 0.508
0.386 0.795 0.750
0.614 0.205 0.250
0.263 0.109 0.008
0.673 0.166 0.084
0.234 0.608 0.008
0.644 0.881 0.329
0.644 0.881 0.171
0.176 0.033 0.396
0.146 0.629 0.671
0.307 0.532 0.298
0.816 0.973 0.702
0.176 0.033 0.104
0.317 0.537 0.396
0.183 0.338 0.917
0.824 0.967 0.896
0.317 0.537 0.104
0.327 0.834 0.916
```

Results
Total magnetic moment ... 16.0 μB per cell
E_form ... -1.930 eV/atom
Space-group type ... P2_1/m, No. 11
E_tot ... -266.45 eV/cell


No. 8
# SnBr2

A relaxed structure of SnBr2 (PBE, Materials Project).

Geometry as POSCAR:
```
SnBr2
1.0
9.407 4.487 7.128
-9.491 -6.377 5.356
2.206 -3.747 -0.553
Sn Br
6 12
direct
0.585 0.693 0.750
0.109 0.415 0.750
0.307 0.891 0.750
0.415 0.307 0.250
0.891 0.585 0.250
0.693 0.109 0.250
0.754 0.765 0.250
0.010 0.246 0.250
0.235 0.990 0.250
0.246 0.235 0.750
0.990 0.754 0.750
0.765 0.010 0.750
0.615 0.483 0.750
0.868 0.385 0.750
0.517 0.132 0.750
0.385 0.517 0.250
0.132 0.615 0.250
0.483 0.868 0.250
```

Results
E_form ... -1.127 eV/atom
Space-group type ... P6_3/m, No. 176
E_tot ... -57.58 eV/cell